# meta-GGA r2SCAN CaYZn2, optimized geometry
data_CaYZn2
_symmetry_space_group_name_H-M 'P 1'
_symmetry_Int_Tables_number 1
_cell_length_a 7.190
_cell_length_b 7.190
_cell_length_c 7.190
_cell_angle_alpha 90.00
_cell_angle_beta 90.00
_cell_angle_gamma 90.00
loop_
_symmetry_equiv_pos_as_xyz
'x,y,z'
loop_
_atom_site_label
_atom_site_type_symbol
_atom_site_fract_x
_atom_site_fract_y
_atom_site_fract_z
Ca1 Ca 0.000 0.000 0.000
Ca2 Ca 0.000 0.500 0.500
Ca3 Ca 0.500 0.000 0.500
Ca4 Ca 0.500 0.500 0.000
Y1 Y 0.000 0.000 0.500
Y2 Y 0.000 0.500 0.000
Y3 Y 0.500 0.000 0.000
Y4 Y 0.500 0.500 0.500
Zn1 Zn 0.250 0.250 0.250
Zn2 Zn 0.250 0.250 0.750
Zn3 Zn 0.250 0.750 0.250
Zn4 Zn 0.250 0.750 0.750
Zn5 Zn 0.750 0.250 0.250
Zn6 Zn 0.750 0.250 0.750
Zn7 Zn 0.750 0.750 0.250
Zn8 Zn 0.750 0.750 0.750
# - ΔE_f: -306 meV per atom
# - Mass density: 4.6 g/cm3
# - M_tot: 0.0 μB per formula unit
# - E_tot: -11.599 eV/atom


# meta-GGA r2SCAN CaYb3, optimized geometry
data_CaYb3
_symmetry_space_group_name_H-M 'P 1'
_symmetry_Int_Tables_number 1
_cell_length_a 8.030
_cell_length_b 8.030
_cell_length_c 8.030
_cell_angle_alpha 90.00
_cell_angle_beta 90.00
_cell_angle_gamma 90.00
loop_
_symmetry_equiv_pos_as_xyz
'x,y,z'
loop_
_atom_site_label
_atom_site_type_symbol
_atom_site_fract_x
_atom_site_fract_y
_atom_site_fract_z
Ca1 Ca 0.000 0.000 0.000
Ca2 Ca 0.000 0.500 0.500
Ca3 Ca 0.500 0.000 0.500
Ca4 Ca 0.500 0.500 0.000
Yb1 Yb 0.000 0.000 0.500
Yb2 Yb 0.000 0.500 0.000
Yb3 Yb 0.250 0.250 0.250
Yb4 Yb 0.250 0.250 0.750
Yb5 Yb 0.250 0.750 0.250
Yb6 Yb 0.250 0.750 0.750
Yb7 Yb 0.500 0.000 0.000
Yb8 Yb 0.500 0.500 0.500
Yb9 Yb 0.750 0.250 0.250
Yb10 Yb 0.750 0.250 0.750
Yb11 Yb 0.750 0.750 0.250
Yb12 Yb 0.750 0.750 0.750
# - ΔE_f: 189 meV per atom
# - Mass density: 7.2 g/cm3
# - M_tot: 1.7 μB per formula unit
# - E_tot: -28.967 eV/atom


# meta-GGA r2SCAN CaYb3, optimized geometry
data_CaYb3
_symmetry_space_group_name_H-M 'P 1'
_symmetry_Int_Tables_number 1
_cell_length_a 5.072
_cell_length_b 5.072
_cell_length_c 5.072
_cell_angle_alpha 90.00
_cell_angle_beta 90.00
_cell_angle_gamma 90.00
loop_
_symmetry_equiv_pos_as_xyz
'x,y,z'
loop_
_atom_site_label
_atom_site_type_symbol
_atom_site_fract_x
_atom_site_fract_y
_atom_site_fract_z
Ca1 Ca 0.000 0.000 0.000
Yb1 Yb 0.000 0.500 0.500
Yb2 Yb 0.500 0.000 0.500
Yb3 Yb 0.500 0.500 0.000
# - ΔE_f: 173 meV per atom
# - Mass density: 7.1 g/cm3
# - M_tot: 2.9 μB per formula unit
# - E_tot: -28.983 eV/atom


# meta-GGA r2SCAN CaYb3, optimized geometry
data_CaYb3
_symmetry_space_group_name_H-M 'P 1'
_symmetry_Int_Tables_number 1
_cell_length_a 7.181
_cell_length_b 10.208
_cell_length_c 3.565
_cell_angle_alpha 90.00
_cell_angle_beta 90.00
_cell_angle_gamma 90.00
loop_
_symmetry_equiv_pos_as_xyz
'x,y,z'
loop_
_atom_site_label
_atom_site_type_symbol
_atom_site_fract_x
_atom_site_fract_y
_atom_site_fract_z
Ca1 Ca 0.000 0.000 0.000
Ca2 Ca 0.500 0.500 0.000
Yb1 Yb 0.000 0.500 0.002
Yb2 Yb 0.250 0.250 0.502
Yb3 Yb 0.250 0.750 0.502
Yb4 Yb 0.500 0.000 0.002
Yb5 Yb 0.750 0.250 0.502
Yb6 Yb 0.750 0.750 0.502
# - ΔE_f: 163 meV per atom
# - Mass density: 7.1 g/cm3
# - M_tot: 2.9 μB per formula unit
# - E_tot: -28.994 eV/atom


# meta-GGA r2SCAN CaYb3, optimized geometry
data_CaYb3
_symmetry_space_group_name_H-M 'P 1'
_symmetry_Int_Tables_number 1
_cell_length_a 5.090
_cell_length_b 5.090
_cell_length_c 10.072
_cell_angle_alpha 90.00
_cell_angle_beta 90.00
_cell_angle_gamma 90.00
loop_
_symmetry_equiv_pos_as_xyz
'x,y,z'
loop_
_atom_site_label
_atom_site_type_symbol
_atom_site_fract_x
_atom_site_fract_y
_atom_site_fract_z
Ca1 Ca 0.000 0.000 0.000
Ca2 Ca 0.500 0.500 0.500
Yb1 Yb 0.000 0.000 0.500
Yb2 Yb 0.000 0.500 0.250
Yb3 Yb 0.000 0.500 0.750
Yb4 Yb 0.500 0.000 0.250
Yb5 Yb 0.500 0.000 0.750
Yb6 Yb 0.500 0.500 0.000
# - ΔE_f: 163 meV per atom
# - Mass density: 7.1 g/cm3
# - M_tot: 2.9 μB per formula unit
# - E_tot: -28.994 eV/atom


# meta-GGA r2SCAN CaYb3, optimized geometry
data_CaYb3
_symmetry_space_group_name_H-M 'P 1'
_symmetry_Int_Tables_number 1
_cell_length_a 7.177
_cell_length_b 7.177
_cell_length_c 5.817
_cell_angle_alpha 90.00
_cell_angle_beta 90.00
_cell_angle_gamma 120.00
loop_
_symmetry_equiv_pos_as_xyz
'x,y,z'
loop_
_atom_site_label
_atom_site_type_symbol
_atom_site_fract_x
_atom_site_fract_y
_atom_site_fract_z
Ca1 Ca 0.333 0.667 0.250
Ca2 Ca 0.667 0.333 0.750
Yb1 Yb 0.163 0.325 0.750
Yb2 Yb 0.163 0.837 0.750
Yb3 Yb 0.325 0.163 0.250
Yb4 Yb 0.675 0.837 0.750
Yb5 Yb 0.837 0.163 0.250
Yb6 Yb 0.837 0.675 0.250
# - ΔE_f: 108 meV per atom
# - Mass density: 7.2 g/cm3
# - M_tot: 2.8 μB per formula unit
# - E_tot: -29.048 eV/atom


# meta-GGA r2SCAN CaYbZn2, optimized geometry
data_CaYbZn2
_symmetry_space_group_name_H-M 'P 1'
_symmetry_Int_Tables_number 1
_cell_length_a 7.097
_cell_length_b 7.097
_cell_length_c 7.097
_cell_angle_alpha 90.00
_cell_angle_beta 90.00
_cell_angle_gamma 90.00
loop_
_symmetry_equiv_pos_as_xyz
'x,y,z'
loop_
_atom_site_label
_atom_site_type_symbol
_atom_site_fract_x
_atom_site_fract_y
_atom_site_fract_z
Ca1 Ca 0.000 0.000 0.000
Ca2 Ca 0.000 0.500 0.500
Ca3 Ca 0.500 0.000 0.500
Ca4 Ca 0.500 0.500 0.000
Yb1 Yb 0.000 0.000 0.500
Yb2 Yb 0.000 0.500 0.000
Yb3 Yb 0.500 0.000 0.000
Yb4 Yb 0.500 0.500 0.500
Zn1 Zn 0.250 0.250 0.250
Zn2 Zn 0.250 0.250 0.750
Zn3 Zn 0.250 0.750 0.250
Zn4 Zn 0.250 0.750 0.750
Zn5 Zn 0.750 0.250 0.250
Zn6 Zn 0.750 0.250 0.750
Zn7 Zn 0.750 0.750 0.250
Zn8 Zn 0.750 0.750 0.750
# - ΔE_f: -298 meV per atom
# - Mass density: 6.4 g/cm3
# - M_tot: 0.0 μB per formula unit
# - E_tot: -15.645 eV/atom


# meta-GGA r2SCAN CaZn, optimized geometry
data_CaZn
_symmetry_space_group_name_H-M 'P 1'
_symmetry_Int_Tables_number 1
_cell_length_a 4.203
_cell_length_b 11.201
_cell_length_c 4.450
_cell_angle_alpha 90.00
_cell_angle_beta 90.00
_cell_angle_gamma 90.00
loop_
_symmetry_equiv_pos_as_xyz
'x,y,z'
loop_
_atom_site_label
_atom_site_type_symbol
_atom_site_fract_x
_atom_site_fract_y
_atom_site_fract_z
Ca1 Ca 0.000 0.145 0.250
Ca2 Ca 0.000 0.855 0.750
Ca3 Ca 0.500 0.355 0.750
Ca4 Ca 0.500 0.645 0.250
Zn1 Zn 0.000 0.439 0.250
Zn2 Zn 0.000 0.561 0.750
Zn3 Zn 0.500 0.061 0.750
Zn4 Zn 0.500 0.939 0.250
# - ΔE_f: -245 meV per atom
# - Mass density: 3.3 g/cm3
# - M_tot: 0.0 μB per formula unit
# - E_tot: -8.220 eV/atom


# meta-GGA r2SCAN CaZn2, optimized geometry
data_CaZn2
_symmetry_space_group_name_H-M 'P 1'
_symmetry_Int_Tables_number 1
_cell_length_a 4.549
_cell_length_b 7.343
_cell_length_c 7.431
_cell_angle_alpha 90.00
_cell_angle_beta 90.00
_cell_angle_gamma 90.00
loop_
_symmetry_equiv_pos_as_xyz
'x,y,z'
loop_
_atom_site_label
_atom_site_type_symbol
_atom_site_fract_x
_atom_site_fract_y
_atom_site_fract_z
Ca1 Ca 0.000 0.250 0.053
Ca2 Ca 0.000 0.750 0.947
Ca3 Ca 0.500 0.250 0.447
Ca4 Ca 0.500 0.750 0.553
Zn1 Zn 0.000 0.064 0.663
Zn2 Zn 0.000 0.436 0.663
Zn3 Zn 0.000 0.564 0.337
Zn4 Zn 0.000 0.936 0.337
Zn5 Zn 0.500 0.064 0.837
Zn6 Zn 0.500 0.436 0.837
Zn7 Zn 0.500 0.564 0.163
Zn8 Zn 0.500 0.936 0.163
# - ΔE_f: -309 meV per atom
# - Mass density: 4.6 g/cm3
# - M_tot: 0.0 μB per formula unit
# - E_tot: -8.595 eV/atom


# meta-GGA r2SCAN CaZn5, optimized geometry
data_CaZn5
_symmetry_space_group_name_H-M 'P 1'
_symmetry_Int_Tables_number 1
_cell_length_a 5.307
_cell_length_b 5.307
_cell_length_c 4.194
_cell_angle_alpha 90.00
_cell_angle_beta 90.00
_cell_angle_gamma 120.00
loop_
_symmetry_equiv_pos_as_xyz
'x,y,z'
loop_
_atom_site_label
_atom_site_type_symbol
_atom_site_fract_x
_atom_site_fract_y
_atom_site_fract_z
Ca1 Ca 0.000 0.000 0.000
Zn1 Zn 0.000 0.500 0.500
Zn2 Zn 0.333 0.667 0.000
Zn3 Zn 0.500 0.000 0.500
Zn4 Zn 0.500 0.500 0.500
Zn5 Zn 0.667 0.333 0.000
# - ΔE_f: -254 meV per atom
# - Mass density: 6.0 g/cm3
# - M_tot: 0.0 μB per formula unit
# - E_tot: -8.852 eV/atom


# meta-GGA r2SCAN CaZn2, optimized geometry
data_CaZn2
_symmetry_space_group_name_H-M 'P 1'
_symmetry_Int_Tables_number 1
_cell_length_a 5.588
_cell_length_b 5.588
_cell_length_c 8.684
_cell_angle_alpha 90.00
_cell_angle_beta 90.00
_cell_angle_gamma 120.00
loop_
_symmetry_equiv_pos_as_xyz
'x,y,z'
loop_
_atom_site_label
_atom_site_type_symbol
_atom_site_fract_x
_atom_site_fract_y
_atom_site_fract_z
Ca1 Ca 0.333 0.667 0.058
Ca2 Ca 0.333 0.667 0.442
Ca3 Ca 0.667 0.333 0.558
Ca4 Ca 0.667 0.333 0.942
Zn1 Zn 0.000 0.000 0.000
Zn2 Zn 0.000 0.000 0.500
Zn3 Zn 0.166 0.331 0.750
Zn4 Zn 0.166 0.834 0.750
Zn5 Zn 0.331 0.166 0.250
Zn6 Zn 0.669 0.834 0.750
Zn7 Zn 0.834 0.166 0.250
Zn8 Zn 0.834 0.669 0.250
# - ΔE_f: -283 meV per atom
# - Mass density: 4.8 g/cm3
# - M_tot: 0.0 μB per formula unit
# - E_tot: -8.570 eV/atom


# meta-GGA r2SCAN CaZn, optimized geometry
data_CaZn
_symmetry_space_group_name_H-M 'P 1'
_symmetry_Int_Tables_number 1
_cell_length_a 3.649
_cell_length_b 3.649
_cell_length_c 3.649
_cell_angle_alpha 90.00
_cell_angle_beta 90.00
_cell_angle_gamma 90.00
loop_
_symmetry_equiv_pos_as_xyz
'x,y,z'
loop_
_atom_site_label
_atom_site_type_symbol
_atom_site_fract_x
_atom_site_fract_y
_atom_site_fract_z
Ca1 Ca 0.000 0.000 0.000
Zn1 Zn 0.500 0.500 0.500
# - ΔE_f: -219 meV per atom
# - Mass density: 3.6 g/cm3
# - M_tot: 0.0 μB per formula unit
# - E_tot: -8.194 eV/atom